# 1
Ca2FeH6 after structural relaxation. Source: Materials Project, functional r2SCAN.

Cell lengths 6.9922, 6.9922, 6.9922 Å; angles 90.00, 90.00, 90.00 degrees
Closest atoms and distances in Å follow each position.
Space group Fm-3m (No. 225)
Inequivalent atoms, fractional coordinates:
Ca 0.2500 0.2500 0.2500 [8 per cell]  12 H 2.48
Fe 0.0000 0.0000 0.0000 [4 per cell]  6 H 1.59
H 0.0000 0.0000 0.2280 [24 per cell]  1 Fe 1.59

Magnetic moment = 0.0 Bohr magnetons per cell
ΔE_f = -0.5996 eV/atom
V = 341.85 Å³ per cell


# 2
Ca3Fe2Mo2O12 after structural relaxation. Source: Materials Project, functional r2SCAN.

Cell lengths 5.3488, 5.4629, 7.6814 Å; angles 90.37, 90.22, 90.06 degrees
Closest atoms and distances in Å follow each position.
Space group P1 (No. 1)
Inequivalent atoms, fractional coordinates:
Ca 0.0000 0.0000 0.0000 [1 per cell]  8 O 2.34-2.58
Ca 0.0157 0.0909 0.5022 [1 per cell]  6 O 2.35-2.63
Ca 0.5221 0.4872 0.9996 [1 per cell]  6 O 2.34-2.55
Fe 0.0178 0.5316 0.7573 [1 per cell]  6 O 1.92-2.11
Fe 0.5144 0.0259 0.2423 [1 per cell]  5 O 1.91-2.04
Mo 0.0157 0.5464 0.2668 [1 per cell]  5 O 1.80-1.99
Mo 0.5057 0.0252 0.7356 [1 per cell]  6 O 1.83-2.05
O 0.0909 0.5627 0.0020 [1 per cell]  1 Fe 1.92, 1 Mo 2.08
O 0.1921 0.8493 0.2809 [1 per cell]  1 Mo 1.91, 1 Fe 2.00
O 0.2077 0.8473 0.7168 [1 per cell]  1 Mo 1.87, 1 Fe 2.03
O 0.2852 0.3437 0.2820 [1 per cell]  1 Mo 1.82
O 0.2980 0.3153 0.7137 [1 per cell]  1 Fe 1.94, 1 Mo 1.94
O 0.4322 0.0636 0.9955 [1 per cell]  1 Fe 1.96, 1 Mo 2.05
O 0.5825 0.0214 0.5038 [1 per cell]  1 Mo 1.83, 1 Fe 2.04
O 0.7079 0.7642 0.7995 [1 per cell]  1 Mo 1.86
O 0.7269 0.7522 0.1948 [1 per cell]  1 Fe 1.91, 1 Mo 1.99
O 0.7920 0.2456 0.7866 [1 per cell]  1 Mo 1.98, 1 Fe 1.99
O 0.8032 0.2641 0.2105 [1 per cell]  1 Mo 1.96, 1 Fe 2.04
O 0.9368 0.5374 0.4947 [1 per cell]  1 Mo 1.80

Magnetic moment = 10.0 Bohr magnetons per cell
ΔE_f = -2.4448 eV/atom
V = 224.44 Å³ per cell


# 3
Ca6FeN5 after structural relaxation. Source: Materials Project, functional r2SCAN.

Cell lengths 6.2212, 6.2212, 12.2174 Å; angles 90.00, 90.00, 120.00 degrees
Closest atoms and distances in Å follow each position.
Space group P6_3/mcm (No. 193)
Inequivalent atoms, fractional coordinates:
Ca 0.0000 0.3972 0.1206 [12 per cell]  3 N 2.41-2.52
Fe 0.0000 0.0000 0.2500 [2 per cell]  3 N 1.79
N 0.0000 0.2880 0.7500 [6 per cell]  1 Fe 1.79
N 0.3333 0.6667 0.0000 [4 per cell]  6 Ca 2.41

Magnetic moment = 6.0 Bohr magnetons per cell
ΔE_f = -0.9594 eV/atom
V = 409.51 Å³ per cell


# 4
Ca3Fe3N5 after structural relaxation. Source: Materials Project, functional r2SCAN.

Cell lengths 5.6669, 6.8619, 8.2949 Å; angles 107.36, 107.18, 94.64 degrees
Closest atoms and distances in Å follow each position.
Space group P-1 (No. 2)
Inequivalent atoms, fractional coordinates:
Ca 0.1496 0.1727 0.1967 [2 per cell]  3 N 2.38-2.49
Ca 0.1708 0.3736 0.8831 [2 per cell]  5 N 2.43-2.64
Ca 0.3104 0.9133 0.6019 [2 per cell]  4 N 2.33-2.55
Fe 0.2016 0.4491 0.5700 [2 per cell]  4 N 1.90-2.01
Fe 0.3815 0.6300 0.2875 [2 per cell]  4 N 1.91-1.95
Fe 0.4107 0.8253 0.9739 [2 per cell]  4 N 1.82-1.90
N 0.1194 0.5653 0.3745 [2 per cell]  3 Fe 1.91-2.01
N 0.2369 0.7391 0.1003 [2 per cell]  2 Fe 1.82-1.92
N 0.2583 0.0298 0.8946 [2 per cell]  2 Fe 1.88-1.89
N 0.3302 0.1997 0.5072 [2 per cell]  2 Fe 1.90-1.95
N 0.4765 0.6062 0.7982 [2 per cell]  3 Fe 1.90-1.98

Magnetic moment = 6.0 Bohr magnetons per cell
ΔE_f = -0.7158 eV/atom
V = 289.02 Å³ per cell